A | CaCoSi2O7: relaxed, GGA+U.

CIF file:
```
data_CaCoSi2O7
_cell_length_a 11.208
_cell_length_b 11.262
_cell_length_c 5.194
_cell_angle_alpha 90.00
_cell_angle_beta 90.00
_cell_angle_gamma 90.00
_symmetry_space_group_name_H-M 'C m m 2'
_symmetry_Int_Tables_number 35
_symmetry_space_group_name_Hall 'C 2 -2'
loop_
_atom_site_label
_atom_site_fract_x
_atom_site_fract_y
_atom_site_fract_z
Ca1 0.000 0.161 0.000
Co1 0.250 0.250 0.528
Si1 0.000 0.358 0.574
Si2 0.136 0.000 0.471
O1 0.000 0.000 0.327
O2 0.000 0.318 0.277
O3 0.000 0.500 0.628
O4 0.114 0.000 0.781
O5 0.115 0.293 0.718
O6 0.198 0.119 0.351
```

Properties
Crystal system = orthorhombic

---

B | CaCoSi2O7: relaxed, GGA+U.

CIF file:
```
data_CaCoSi2O7
_cell_length_a 7.922
_cell_length_b 5.271
_cell_length_c 7.972
_cell_angle_alpha 90.00
_cell_angle_beta 90.70
_cell_angle_gamma 90.00
_symmetry_space_group_name_H-M 'P 1 2 1'
_symmetry_Int_Tables_number 3
_symmetry_space_group_name_Hall 'P 2y'
loop_
_atom_site_label
_atom_site_fract_x
_atom_site_fract_y
_atom_site_fract_z
Ca1 0.165 0.000 0.326
Co1 0.000 0.534 0.000
Co2 0.500 0.524 0.500
Si1 0.132 0.454 0.634
Si2 0.358 0.569 0.141
O1 0.000 0.300 0.500
O2 0.073 0.350 0.816
O3 0.101 0.761 0.600
O4 0.181 0.721 0.090
O5 0.319 0.353 0.583
O6 0.324 0.277 0.189
O7 0.412 0.713 0.322
O8 0.500 0.616 0.000
```

Properties
Crystal system = monoclinic

---

We find B to be the most stable, with the next structure 5 meV per atom higher.

---

A | CaCoSi2O6: relaxed, GGA+U.

CIF file:
```
data_CaCoSi2O6
_cell_length_a 9.929
_cell_length_b 9.039
_cell_length_c 5.320
_cell_angle_alpha 90.00
_cell_angle_beta 105.78
_cell_angle_gamma 90.00
_symmetry_space_group_name_H-M 'C 1 2/c 1'
_symmetry_Int_Tables_number 15
_symmetry_space_group_name_Hall '-C 2yc'
loop_
_atom_site_label
_atom_site_fract_x
_atom_site_fract_y
_atom_site_fract_z
Ca1 0.000 0.203 0.250
Co1 0.000 0.406 0.750
Si1 0.213 0.092 0.769
O1 0.117 0.411 0.146
O2 0.138 0.248 0.677
O3 0.150 0.018 0.005
```

Properties
Crystal system = monoclinic

---

B | CaCoSi2O6: relaxed, GGA+U.

CIF file:
```
data_CaCoSi2O6
_cell_length_a 5.428
_cell_length_b 18.989
_cell_length_c 9.772
_cell_angle_alpha 90.00
_cell_angle_beta 90.00
_cell_angle_gamma 90.00
_symmetry_space_group_name_H-M 'P b c a'
_symmetry_Int_Tables_number 61
_symmetry_space_group_name_Hall '-P 2ac 2ab'
loop_
_atom_site_label
_atom_site_fract_x
_atom_site_fract_y
_atom_site_fract_z
Ca1 0.112 0.121 0.146
Co1 0.115 0.128 0.507
Si1 0.062 0.725 0.665
Si2 0.249 0.026 0.832
O1 0.041 0.546 0.712
O2 0.042 0.689 0.155
O3 0.083 0.685 0.518
O4 0.175 0.199 0.741
O5 0.179 0.570 0.968
O6 0.247 0.060 0.349
```

Properties
Crystal system = orthorhombic

---

We find A to be the most stable, with the next structure 40 meV per atom higher.

---

A | CaCr3F6: relaxed, GGA+U.

CIF file:
```
data_CaCr3F6
_cell_length_a 6.431
_cell_length_b 6.482
_cell_length_c 6.713
_cell_angle_alpha 74.81
_cell_angle_beta 65.93
_cell_angle_gamma 66.02
_symmetry_space_group_name_H-M 'P -1'
_symmetry_Int_Tables_number 2
_symmetry_space_group_name_Hall '-P 1'
loop_
_atom_site_label
_atom_site_fract_x
_atom_site_fract_y
_atom_site_fract_z
Ca1 0.000 0.000 0.000
Cr1 0.000 0.500 0.000
Cr2 0.500 0.000 0.500
Cr3 0.500 0.500 0.000
F1 0.123 0.623 0.162
F2 0.208 0.184 0.044
F3 0.325 0.806 0.732
```

Properties
Crystal system = triclinic

---

B | CaCr3F6: relaxed, GGA+U.

CIF file:
```
data_CaCr3F6
_cell_length_a 6.507
_cell_length_b 6.625
_cell_length_c 7.371
_cell_angle_alpha 92.20
_cell_angle_beta 112.34
_cell_angle_gamma 99.69
_symmetry_space_group_name_H-M 'P -1'
_symmetry_Int_Tables_number 2
_symmetry_space_group_name_Hall '-P 1'
loop_
_atom_site_label
_atom_site_fract_x
_atom_site_fract_y
_atom_site_fract_z
Ca1 0.000 0.000 0.000
Cr1 0.000 0.500 0.000
Cr2 0.500 0.000 0.500
Cr3 0.500 0.500 0.000
F1 0.182 0.316 0.929
F2 0.198 0.748 0.978
F3 0.257 0.109 0.300
```

Properties
Crystal system = triclinic

---

We find B to be the most stable, with the next structure 20 meV per atom higher.

---

A | NaCaMgCrSi4O12: relaxed, GGA+U.

CIF file:
```
data_NaCaMgCrSi4O12
_cell_length_a 10.785
_cell_length_b 9.382
_cell_length_c 15.909
_cell_angle_alpha 90.00
_cell_angle_beta 105.96
_cell_angle_gamma 90.00
_symmetry_space_group_name_H-M 'C 1 2 1'
_symmetry_Int_Tables_number 5
_symmetry_space_group_name_Hall 'C 2y'
loop_
_atom_site_label
_atom_site_fract_x
_atom_site_fract_y
_atom_site_fract_z
Na1 0.000 0.000 0.000
Na2 0.151 0.563 0.160
Ca1 0.000 0.046 0.500
Ca2 0.178 0.516 0.668
Mg1 0.000 0.680 0.500
Mg2 0.178 0.894 0.670
Cr1 0.000 0.356 0.000
Cr2 0.161 0.208 0.166
Si1 0.070 0.801 0.343
Si2 0.082 0.247 0.839
Si3 0.083 0.310 0.326
Si4 0.096 0.757 0.825
Si5 0.243 0.308 0.006
Si6 0.244 0.758 0.509
O1 0.009 0.099 0.851
O2 0.011 0.957 0.357
O3 0.018 0.360 0.130
O4 0.022 0.685 0.628
O5 0.056 0.774 0.235
O6 0.072 0.287 0.734
O7 0.098 0.271 0.433
O8 0.107 0.788 0.932
O9 0.139 0.464 0.313
O10 0.141 0.199 0.036
O11 0.152 0.875 0.539
O12 0.166 0.605 0.812
O13 0.171 0.458 0.015
O14 0.178 0.197 0.294
O15 0.187 0.604 0.526
O16 0.199 0.868 0.800
O17 0.227 0.789 0.401
O18 0.233 0.266 0.901
```

Properties
Crystal system = monoclinic

---

B | NaCaMgCrSi4O12: relaxed, GGA+U.

CIF file:
```
data_NaCaMgCrSi4O12
_cell_length_a 9.813
_cell_length_b 8.928
_cell_length_c 16.033
_cell_angle_alpha 90.00
_cell_angle_beta 106.85
_cell_angle_gamma 90.00
_symmetry_space_group_name_H-M 'C 1 2 1'
_symmetry_Int_Tables_number 5
_symmetry_space_group_name_Hall 'C 2y'
loop_
_atom_site_label
_atom_site_fract_x
_atom_site_fract_y
_atom_site_fract_z
Na1 0.000 0.000 0.000
Na2 0.000 0.399 0.168
Ca1 0.000 0.402 0.500
Ca2 0.000 0.998 0.335
Mg1 0.000 0.789 0.500
Mg2 0.001 0.603 0.668
Cr1 0.000 0.603 0.000
Cr2 0.001 0.791 0.835
Si1 0.208 0.290 0.007
Si2 0.209 0.107 0.172
Si3 0.210 0.108 0.841
Si4 0.212 0.293 0.338
Si5 0.213 0.291 0.674
Si6 0.214 0.106 0.506
O1 0.113 0.786 0.293
O2 0.114 0.612 0.464
O3 0.114 0.618 0.129
O4 0.115 0.778 0.963
O5 0.115 0.785 0.631
O6 0.117 0.621 0.800
O7 0.136 0.947 0.813
O8 0.138 0.944 0.148
O9 0.139 0.453 0.982
O10 0.139 0.947 0.477
O11 0.140 0.450 0.645
O12 0.143 0.454 0.313
O13 0.147 0.211 0.082
O14 0.148 0.180 0.251
O15 0.148 0.213 0.416
O16 0.151 0.185 0.582
O17 0.151 0.187 0.916
O18 0.151 0.206 0.748
```

Properties
Crystal system = monoclinic

---

We find B to be the most stable, with the next structure 206 meV per atom higher.